[1]
Computed, not measured: NaMg3 after structural relaxation at the GGA-PBE level of DFT.

The calculation puts the formation energy from the elements at 0.0997 eV per atom.

It has space group P6_3/mmc (No. 194), with a = 6.6075 Å, b = 6.6075 Å, c = 5.3759 Å, α = 90.00°, β = 90.00° and γ = 120.00°. The distinct sites, in fractional coordinates, are Na at (0.3333, 0.6667, 0.2500) and Mg at (0.1626, 0.3253, 0.7500).

=====

[2]
Computed, not measured: NaMg3 after structural relaxation at the GGA-PBE level of DFT.

The calculation puts the formation energy from the elements at 0.0895 eV per atom.

It has space group Pmm2 (No. 25), with a = 3.163 Å, b = 5.434 Å, c = 5.909 Å, α = 90.00°, β = 90.00° and γ = 90.00°. The distinct sites, in fractional coordinates, are Na at (0.000, 0.000, 0.000), Mg at (0.000, 0.500, 0.668), Mg at (0.500, 0.000, 0.501) and Mg at (0.500, 0.500, 0.190).

=====

[3]
Computed, not measured: NaMg3 after structural relaxation at the GGA-PBE level of DFT.

The calculation puts the formation energy from the elements at 0.0951 eV per atom.

It has space group I4/mmm (No. 139), with a = 4.719 Å, b = 4.719 Å, c = 9.099 Å, α = 90.00°, β = 90.00° and γ = 90.00°. The distinct sites, in fractional coordinates, are Na at (0.000, 0.000, 0.000), Mg at (0.000, 0.000, 0.500) and Mg at (0.000, 0.500, 0.250).